Record 1
! BaZn2Sb2 r²SCAN relaxed; values from VASP
! Total DFT energy (no corrections) = -395.6 eV/cell
! Spin magnetization = 0.0 μB per formula unit
! Energy relative to the elements = -0.63 eV/atom
&SYSTEM
  ibrav = 0, nat = 20, ntyp = 3
/
ATOMIC_SPECIES
Zn 65.41 Zn.upf
Ba 137.33 Ba.upf
Sb 121.76 Sb.upf
ATOMIC_POSITIONS angstrom
Zn 3.392 9.589 6.411
Zn 1.131 6.375 0.585
Zn 3.392 4.785 4.434
Zn 1.131 1.054 5.242
Zn 3.392 4.268 11.069
Zn 1.131 0.536 10.261
Zn 1.131 5.857 7.220
Zn 3.392 10.107 1.393
Ba 3.392 8.025 9.586
Ba 1.131 2.617 2.067
Ba 3.392 2.704 7.894
Ba 1.131 7.939 3.760
Sb 3.392 1.591 11.211
Sb 3.392 0.244 3.957
Sb 3.392 6.912 6.270
Sb 3.392 5.565 1.870
Sb 1.131 10.398 7.697
Sb 1.131 3.731 5.384
Sb 1.131 9.052 0.443
Sb 1.131 5.077 9.783
CELL_PARAMETERS angstrom
4.523 0.000 0.000
0.000 10.642 0.000
0.000 0.000 11.653

=====

Record 2
! BaSc2Te4 r²SCAN relaxed; values from VASP
! Total DFT energy (no corrections) = -649.7 eV/cell
! Spin magnetization = 0.0 μB per formula unit
! Energy relative to the elements = -1.64 eV/atom
&SYSTEM
  ibrav = 0, nat = 28, ntyp = 3
/
ATOMIC_SPECIES
Sc 44.96 Sc.upf
Te 127.60 Te.upf
Ba 137.33 Ba.upf
ATOMIC_POSITIONS angstrom
Sc -1.929 -8.874 -3.513
Sc 0.557 -11.660 -1.290
Sc 2.811 -15.318 -4.588
Sc -4.183 -5.217 -0.216
Sc 0.160 -2.138 0.353
Sc 4.640 -8.253 -0.674
Sc -1.533 -18.397 -5.156
Sc -6.013 -12.282 -4.129
Te -0.448 -11.319 -4.044
Te 3.069 -10.337 -2.230
Te -4.442 -10.197 -2.573
Te 5.564 -10.201 1.320
Te 2.338 -7.865 1.123
Te 5.424 -14.849 -3.358
Te -2.813 -6.171 -2.632
Te 0.213 -16.102 -5.955
Te -1.585 -4.432 1.151
Te -0.924 -9.215 -0.759
Te -6.796 -5.685 -1.445
Te -3.710 -12.670 -5.926
Te -9.143 -8.194 -3.496
Te 7.771 -12.340 -1.308
Te 1.441 -14.364 -2.171
Te -6.937 -10.333 -6.123
Ba 4.412 -13.134 -0.457
Ba -1.902 -14.524 -3.545
Ba 0.529 -6.011 -1.259
Ba -5.785 -7.400 -4.346
CELL_PARAMETERS angstrom
-1.444 -1.681 3.711
-9.603 -6.608 -6.732
9.675 -12.245 -1.782

=====

Record 3
! BaSe2 r²SCAN relaxed; values from VASP
! Total DFT energy (no corrections) = -119.7 eV/cell
! Spin magnetization = 0.0 μB per formula unit
! Energy relative to the elements = -1.58 eV/atom
&SYSTEM
  ibrav = 0, nat = 6, ntyp = 2
/
ATOMIC_SPECIES
Se 78.96 Se.upf
Ba 137.33 Ba.upf
ATOMIC_POSITIONS angstrom
Se 4.146 3.515 9.975
Se 4.236 1.054 5.484
Se 2.833 3.868 5.673
Se 2.922 1.407 1.181
Ba 5.892 3.678 4.176
Ba 1.177 1.244 6.980
CELL_PARAMETERS angstrom
4.778 0.000 1.433
2.306 4.895 0.992
-0.015 0.028 8.732

=====

Record 4
! BaSe r²SCAN relaxed; values from VASP
! Total DFT energy (no corrections) = -45.4 eV/cell
! Spin magnetization = 0.0 μB per formula unit
! Energy relative to the elements = -2.32 eV/atom
&SYSTEM
  ibrav = 0, nat = 2, ntyp = 2
/
ATOMIC_SPECIES
Ba 137.33 Ba.upf
Se 78.96 Se.upf
ATOMIC_POSITIONS angstrom
Ba 0.000 0.000 0.000
Se 0.809 0.442 5.700
CELL_PARAMETERS angstrom
-2.068 -0.361 4.221
2.432 -1.658 3.683
1.255 2.903 3.496

=====

Record 5
! BaSe3 r²SCAN relaxed; values from VASP
! Total DFT energy (no corrections) = -148.5 eV/cell
! Spin magnetization = 0.0 μB per formula unit
! Energy relative to the elements = -1.20 eV/atom
&SYSTEM
  ibrav = 0, nat = 8, ntyp = 2
/
ATOMIC_SPECIES
Ba 137.33 Ba.upf
Se 78.96 Se.upf
ATOMIC_POSITIONS angstrom
Ba 0.000 0.000 0.000
Ba 0.807 2.436 4.549
Se 1.375 -0.222 6.588
Se -0.103 -2.588 4.402
Se -1.997 2.477 2.026
Se -0.738 2.751 7.652
Se -2.578 2.626 4.331
Se -0.646 -0.505 3.383
CELL_PARAMETERS angstrom
-2.907 -2.546 1.879
4.567 -0.995 5.719
-2.954 5.866 3.379

=====

Record 6
! BaSm2Se4 r²SCAN relaxed; values from VASP
! Total DFT energy (no corrections) = -636.6 eV/cell
! Spin magnetization = 0.0 μB per formula unit
! Energy relative to the elements = -2.28 eV/atom
&SYSTEM
  ibrav = 0, nat = 28, ntyp = 3
/
ATOMIC_SPECIES
Sm 150.36 Sm.upf
Se 78.96 Se.upf
Ba 137.33 Ba.upf
ATOMIC_POSITIONS angstrom
Sm 3.571 -12.715 5.052
Sm 6.571 -2.833 -4.172
Sm 6.484 -5.112 0.631
Sm 11.381 -1.361 -4.133
Sm 8.381 -11.243 5.091
Sm 8.469 -8.964 0.288
Sm 13.222 -7.321 0.203
Sm 1.730 -6.756 0.716
Se 4.033 -5.797 -0.855
Se 3.766 -2.041 -3.888
Se 8.060 -11.131 2.226
Se 9.413 -3.512 -4.563
Se 11.585 -7.165 -2.256
Se 1.128 -4.063 1.560
Se 13.824 -10.013 -0.641
Se 7.056 -7.381 2.325
Se 0.510 -2.888 -2.090
Se 10.919 -8.279 1.774
Se 6.892 -2.945 -1.307
Se 11.187 -12.036 4.807
Se 14.442 -11.188 3.009
Se 5.539 -10.564 5.482
Se 3.367 -6.911 3.175
Se 7.896 -6.695 -1.407
Ba 3.482 -2.460 -0.565
Ba 4.752 -9.836 2.262
Ba 11.470 -11.616 1.484
Ba 10.201 -4.240 -1.343
CELL_PARAMETERS angstrom
-1.073 -2.654 -3.192
12.049 0.655 -4.594
3.976 -12.077 8.705